# Cu2S3O12, optimized geometry, DFT PBE
# MP2020-corrected energy: -6.111 eV per atom
# total energy: -5.63 eV per atom
# ΔE_f: -32.42 kcal/mol of atoms
data_Cu2S3O12
_chemical_formula_sum 'Cu16 S24 O96'
_cell_length_a 8.411
_cell_length_b 8.491
_cell_length_c 24.011
_cell_angle_alpha 90.00
_cell_angle_beta 90.00
_cell_angle_gamma 90.00
_symmetry_space_group_name_H-M 'P b c a'
_symmetry_Int_Tables_number 61
loop_
_symmetry_equiv_pos_as_xyz
'x,y,z'
'-x,-y,-z'
'-x+1/2,-y,z+1/2'
'x+1/2,y,-z+1/2'
'x+1/2,-y+1/2,-z'
'-x+1/2,y+1/2,z'
'-x,y+1/2,-z+1/2'
'x,-y+1/2,z+1/2'
loop_
_atom_site_label
_atom_site_type_symbol
_atom_site_fract_x
_atom_site_fract_y
_atom_site_fract_z
_atom_site_occupancy
Cu1 Cu 0.003 0.100 0.064 1
Cu2 Cu 0.007 0.200 0.320 1
S1 S 0.143 0.553 0.299 1
S2 S 0.147 0.241 0.446 1
S3 S 0.198 0.089 0.617 1
O1 O 0.056 0.108 0.464 1
O2 O 0.084 0.105 0.972 1
O3 O 0.085 0.105 0.779 1
O4 O 0.085 0.592 0.355 1
O5 O 0.087 0.675 0.259 1
O6 O 0.091 0.186 0.581 1
O7 O 0.097 0.001 0.657 1
O8 O 0.142 0.231 0.884 1
O9 O 0.179 0.043 0.297 1
O10 O 0.181 0.732 0.463 1
O11 O 0.190 0.685 0.649 1
O12 O 0.219 0.019 0.077 1